Entry 1:
# Mg2C3ClO15, optimized geometry, DFT PBE
data_Mg2C3ClO15
_chemical_formula_sum 'Mg4 C6 Cl2 O30'
_cell_length_a 14.053
_cell_length_b 14.053
_cell_length_c 14.053
_cell_angle_alpha 29.36
_cell_angle_beta 29.36
_cell_angle_gamma 29.36
_space_group_name_H-M_alt 'P 1'
_space_group_IT_number 1
_space_group_name_Hall 'P 1'
loop_
_atom_site_label
_atom_site_type_symbol
_atom_site_fract_x
_atom_site_fract_y
_atom_site_fract_z
Mg1 Mg 0.195 0.195 0.195
Mg2 Mg 0.305 0.305 0.305
Mg3 Mg 0.695 0.695 0.695
Mg4 Mg 0.805 0.805 0.805
C1 C 0.068 0.750 0.432
C2 C 0.250 0.568 0.932
C3 C 0.432 0.068 0.750
C4 C 0.568 0.932 0.250
C5 C 0.750 0.432 0.068
C6 C 0.932 0.250 0.568
Cl1 Cl 0.000 0.000 0.000
Cl2 Cl 0.500 0.500 0.500
O1 O 0.011 0.182 0.476
O2 O 0.024 0.318 0.489
O3 O 0.106 0.625 0.779
O4 O 0.125 0.606 0.279
O5 O 0.182 0.476 0.011
O6 O 0.221 0.894 0.375
O7 O 0.248 0.750 0.252
O8 O 0.250 0.748 0.752
O9 O 0.252 0.248 0.750
O10 O 0.279 0.125 0.606
O11 O 0.318 0.489 0.024
O12 O 0.375 0.221 0.894
O13 O 0.394 0.721 0.875
O14 O 0.476 0.011 0.182
O15 O 0.489 0.024 0.318
O16 O 0.511 0.976 0.682
O17 O 0.524 0.989 0.818
O18 O 0.606 0.279 0.125
O19 O 0.625 0.779 0.106
O20 O 0.682 0.511 0.976
O21 O 0.721 0.875 0.394
O22 O 0.748 0.752 0.250
O23 O 0.750 0.252 0.248
O24 O 0.752 0.250 0.748
O25 O 0.779 0.106 0.625
O26 O 0.818 0.524 0.989
O27 O 0.875 0.394 0.721
O28 O 0.894 0.375 0.221
O29 O 0.976 0.682 0.511
O30 O 0.989 0.818 0.524
# space group: No. 167



Entry 2:
# Nd2ZnIr, optimized geometry, DFT PBE
data_Nd2ZnIr
_chemical_formula_sum 'Nd8 Zn4 Ir4'
_cell_length_a 7.213
_cell_length_b 7.213
_cell_length_c 7.213
_cell_angle_alpha 90.00
_cell_angle_beta 90.00
_cell_angle_gamma 90.00
_space_group_name_H-M_alt 'P 1'
_space_group_IT_number 1
_space_group_name_Hall 'P 1'
loop_
_atom_site_label
_atom_site_type_symbol
_atom_site_fract_x
_atom_site_fract_y
_atom_site_fract_z
Nd1 Nd 0.250 0.250 0.250
Nd2 Nd 0.250 0.250 0.750
Nd3 Nd 0.250 0.750 0.250
Nd4 Nd 0.250 0.750 0.750
Nd5 Nd 0.750 0.250 0.250
Nd6 Nd 0.750 0.250 0.750
Nd7 Nd 0.750 0.750 0.250
Nd8 Nd 0.750 0.750 0.750
Zn1 Zn 0.000 0.000 0.000
Zn2 Zn 0.000 0.500 0.500
Zn3 Zn 0.500 0.000 0.500
Zn4 Zn 0.500 0.500 0.000
Ir1 Ir 0.000 0.000 0.500
Ir2 Ir 0.000 0.500 0.000
Ir3 Ir 0.500 0.000 0.000
Ir4 Ir 0.500 0.500 0.500
# space group: No. 225



Entry 3:
# TcN2F6, optimized geometry, DFT PBE
data_TcN2F6
_chemical_formula_sum 'Tc1 N2 F6'
_cell_length_a 5.967
_cell_length_b 5.967
_cell_length_c 4.921
_cell_angle_alpha 90.00
_cell_angle_beta 90.00
_cell_angle_gamma 120.00
_space_group_name_H-M_alt 'P 1'
_space_group_IT_number 1
_space_group_name_Hall 'P 1'
loop_
_atom_site_label
_atom_site_type_symbol
_atom_site_fract_x
_atom_site_fract_y
_atom_site_fract_z
Tc1 Tc 0.000 0.000 0.000
N1 N 0.333 0.667 0.703
N2 N 0.667 0.333 0.297
F1 F 0.147 0.294 0.213
F2 F 0.147 0.853 0.213
F3 F 0.294 0.147 0.787
F4 F 0.706 0.853 0.213
F5 F 0.853 0.147 0.787
F6 F 0.853 0.706 0.787
# space group: No. 164



Entry 4:
# YNi3Sn2, optimized geometry, DFT PBE
data_YNi3Sn2
_chemical_formula_sum 'Y3 Ni9 Sn6'
_cell_length_a 9.490
_cell_length_b 9.490
_cell_length_c 4.056
_cell_angle_alpha 90.00
_cell_angle_beta 90.00
_cell_angle_gamma 120.00
_space_group_name_H-M_alt 'P 1'
_space_group_IT_number 1
_space_group_name_Hall 'P 1'
loop_
_atom_site_label
_atom_site_type_symbol
_atom_site_fract_x
_atom_site_fract_y
_atom_site_fract_z
Y1 Y 0.000 0.000 0.000
Y2 Y 0.333 0.667 0.500
Y3 Y 0.667 0.333 0.500
Ni1 Ni 0.000 0.500 0.000
Ni2 Ni 0.183 0.367 0.000
Ni3 Ni 0.183 0.817 0.000
Ni4 Ni 0.367 0.183 0.000
Ni5 Ni 0.500 0.000 0.000
Ni6 Ni 0.500 0.500 0.000
Ni7 Ni 0.633 0.817 0.000
Ni8 Ni 0.817 0.183 0.000
Ni9 Ni 0.817 0.633 0.000
Sn1 Sn 0.000 0.323 0.500
Sn2 Sn 0.000 0.677 0.500
Sn3 Sn 0.323 0.000 0.500
Sn4 Sn 0.323 0.323 0.500
Sn5 Sn 0.677 0.000 0.500
Sn6 Sn 0.677 0.677 0.500
# space group: No. 191



Calculated formation energy / eV/atom: -0.76 -0.48 -0.63 -0.35